Here is an optimized crystal structure of BaZn2P2 from Materials Project. Energies are from PBE-GGA.

The total energy comes out at -18.51 eV/f.u.

The structure belongs to space group I4/mmm (No. 139); the cell edges are 4.041, 4.041 and 13.327 Å and the angles 90.00°, 90.00° and 90.00°. The distinct sites, in fractional coordinates, are Ba at (0.000, 0.000, 0.000), Zn at (0.000, 0.500, 0.250) and P at (0.000, 0.000, 0.360).

Here is an optimized crystal structure of SrMnSb2 from Materials Project. Energies are from PBE-GGA.

The total energy comes out at -20.85 eV/f.u. The MP2020-corrected energy comes out at -5.31 eV per atom.

The structure belongs to space group Pnma (No. 62); the cell edges are 22.626, 4.451 and 4.516 Å and the angles 90.00°, 90.00° and 90.00°. The distinct sites, in fractional coordinates, are Sr at (0.119, 0.250, 0.225), Mn at (0.250, 0.250, 0.723), Sb at (0.002, 0.250, 0.715) and Sb at (0.181, 0.750, 0.726).

Here is an optimized crystal structure of CeS2 from Materials Project. Energies are from PBE-GGA.

The total energy comes out at -19.33 eV/f.u. The MP2020-corrected energy comes out at -6.78 eV per atom.

The structure belongs to space group P4/nmm (No. 129, origin choice 2); the cell edges are 4.083, 4.083 and 7.584 Å and the angles 90.00°, 90.00° and 90.00°. The distinct sites, in fractional coordinates, are Ce at (0.250, 0.250, 0.243), S at (0.250, 0.250, 0.864) and S at (0.250, 0.750, 0.500).

Number 1: formation enthalpy at 0 K -650 meV per atom. Number 2: formation enthalpy at 0 K -530 meV per atom. Number 3: formation enthalpy at 0 K -2044 meV per atom.